(1)
Here is a geometry-optimized Ba10Ti8NbNiO30 structure from the Materials Project. Energies are from PBE+U.

Lattice parameters (Å, degrees): 21.1370 21.1370 21.1370 164.50 164.50 21.99
Closest atoms and distances in Å follow each position.
Atoms (fractional coordinates):
O: 0.2510 0.7490 0.0000  1 Nb 2.01, 1 Ni 2.02
O: 0.6495 0.6495 0.5010  2 Ti 2.02
O: 0.1529 0.1529 0.0000  1 Ti 1.83
O: 0.4499 0.4499 0.0000  1 Nb 2.08, 1 Ti 2.20
O: 0.1485 0.6495 0.0000  2 Ti 2.02
O: 0.5498 0.5498 0.5003  2 Ti 2.02
O: 0.7490 0.2510 0.0000  1 Nb 2.01, 1 Ni 2.02
O: 0.4502 0.4502 0.4997  2 Ti 2.02
O: 0.2510 0.2510 0.5021  1 Nb 2.01, 1 Ni 2.02
O: 0.0495 0.0495 0.4997  2 Ti 2.02
O: 0.7477 0.7477 0.0000  1 Ti 1.85
O: 0.8515 0.8515 0.5010  2 Ti 2.02
O: 0.6484 0.6484 0.0000  1 Ti 1.88
O: 0.1485 0.1485 0.4990  2 Ti 2.02
O: 0.8515 0.3505 0.0000  2 Ti 2.02
O: 0.0495 0.5498 0.0000  2 Ti 2.02
O: 0.3516 0.3516 0.0000  1 Ti 1.88
O: 0.9505 0.4502 0.0000  2 Ti 2.02
O: 0.8471 0.8471 0.0000  1 Ti 1.83
O: 0.5498 0.0495 0.0000  2 Ti 2.02
O: 0.2523 0.2523 0.0000  1 Ti 1.85
O: 0.9505 0.9505 0.5003  2 Ti 2.02
O: 0.7490 0.7490 0.4979  1 Nb 2.01, 1 Ni 2.02
O: 0.3505 0.3505 0.4990  2 Ti 2.02
O: 0.0537 0.0537 0.0000  1 Ti 1.81
O: 0.9463 0.9463 0.0000  1 Ti 1.81
O: 0.3505 0.8515 0.0000  2 Ti 2.02
O: 0.4502 0.9505 0.0000  2 Ti 2.02
O: 0.5501 0.5501 0.0000  1 Nb 2.08, 1 Ti 2.20
O: 0.6495 0.1485 0.0000  2 Ti 2.02
Ti: 0.2969 0.2969 0.0000  5 O 1.85-2.02
Ti: 0.1971 0.1971 0.0000  5 O 1.83-2.02
Ti: 0.8029 0.8029 0.0000  5 O 1.83-2.02
Ti: 0.3970 0.3970 0.0000  5 O 1.88-2.02
Ti: 0.7031 0.7031 0.0000  5 O 1.85-2.02
Ti: 0.9026 0.9026 0.0000  5 O 1.81-2.02
Ti: 0.0974 0.0974 0.0000  5 O 1.81-2.02
Ti: 0.6030 0.6030 0.0000  5 O 1.88-2.02
Nb: 0.5000 0.5000 0.0000  6 O 2.01-2.08
Ba: 0.7500 0.2500 0.5000  12 O 2.85-2.88
Ba: 0.5502 0.0502 0.5000  12 O 2.85-2.92
Ba: 0.9498 0.4498 0.5000  12 O 2.85-2.92
Ba: 0.4498 0.9498 0.5000  12 O 2.85-2.92
Ba: 0.0502 0.5502 0.5000  12 O 2.85-2.92
Ba: 0.3497 0.8497 0.5000  12 O 2.85-2.89
Ba: 0.1503 0.6503 0.5000  12 O 2.85-2.89
Ba: 0.2500 0.7500 0.5000  12 O 2.85-2.88
Ba: 0.6503 0.1503 0.5000  12 O 2.85-2.89
Ba: 0.8497 0.3497 0.5000  12 O 2.85-2.89
Ni: 0.0000 0.0000 0.0000  6 O 2.02-2.23

Properties
E_form = -3.3239 eV per atom
Energy with MP2020 corrections = -412.87 eV for the cell shown
Space-group type = I4/mmm
Crystal system = tetragonal

=====

(2)
Here is a geometry-optimized K5LuHfMo6O24 structure from the Materials Project. Energies are from PBE+U.

Lattice parameters (Å, degrees): 14.2999 14.2999 14.2998 44.56 44.56 44.56
Closest atoms and distances in Å follow each position.
Atoms (fractional coordinates):
O: 0.4962 0.6041 0.3014  1 Mo 1.85
O: 0.5943 0.3883 0.8575  1 Mo 1.77
O: 0.6524 0.9309 0.3815  1 Mo 1.75
O: 0.8255 0.5280 0.7976  1 Mo 1.82
O: 0.3476 0.0691 0.6185  1 Mo 1.75
O: 0.0691 0.6185 0.3476  1 Mo 1.75
O: 0.6041 0.3014 0.4962  1 Mo 1.85
O: 0.4309 0.1524 0.8815  1 Mo 1.75
O: 0.1041 0.9962 0.8014  1 Mo 1.85
O: 0.1117 0.9057 0.6425  1 Mo 1.77
O: 0.5038 0.3959 0.6986  1 Mo 1.85
O: 0.3014 0.4962 0.6041  1 Mo 1.85
O: 0.2024 0.1745 0.4720  1 Mo 1.82
O: 0.0280 0.3255 0.2976  1 Mo 1.82
O: 0.3255 0.2976 0.0280  1 Mo 1.82
O: 0.2976 0.0280 0.3255  1 Mo 1.82
O: 0.1745 0.4720 0.2024  1 Mo 1.82
O: 0.8476 0.1185 0.5691  1 Mo 1.75
O: 0.7976 0.8255 0.5280  1 Mo 1.82
O: 0.9962 0.8014 0.1041  1 Mo 1.85
O: 0.6986 0.5038 0.3959  1 Mo 1.85
O: 0.9057 0.6425 0.1117  1 Mo 1.77
O: 0.3959 0.6986 0.5038  1 Mo 1.85
O: 0.7024 0.9720 0.6745  1 Mo 1.82
O: 0.4057 0.6117 0.1425  1 Mo 1.77
O: 0.8883 0.0943 0.3575  1 Mo 1.77
O: 0.8959 0.0038 0.1986  1 Mo 1.85
O: 0.8815 0.4309 0.1524  1 Mo 1.75
O: 0.3815 0.6524 0.9309  1 Mo 1.75
O: 0.8575 0.5943 0.3883  1 Mo 1.77
O: 0.6425 0.1117 0.9057  1 Mo 1.77
O: 0.6745 0.7024 0.9720  1 Mo 1.82
O: 0.5280 0.7976 0.8255  1 Mo 1.82
O: 0.5691 0.8476 0.1185  1 Mo 1.75
O: 0.3883 0.8575 0.5943  1 Mo 1.77
O: 0.1524 0.8815 0.4309  1 Mo 1.75
O: 0.8014 0.1041 0.9962  1 Mo 1.85
O: 0.4720 0.2024 0.1745  1 Mo 1.82
O: 0.9720 0.6745 0.7024  1 Mo 1.82
O: 0.0038 0.1986 0.8959  1 Mo 1.85
O: 0.1986 0.8959 0.0038  1 Mo 1.85
O: 0.9309 0.3815 0.6524  1 Mo 1.75
O: 0.3575 0.8883 0.0943  1 Mo 1.77
O: 0.1425 0.4057 0.6117  1 Mo 1.77
O: 0.1185 0.5691 0.8476  1 Mo 1.75
O: 0.0943 0.3575 0.8883  1 Mo 1.77
O: 0.6117 0.1425 0.4057  1 Mo 1.77
O: 0.6185 0.3476 0.0691  1 Mo 1.75
K: 0.3534 0.3534 0.3534  6 O 2.85-3.00
K: 0.7500 0.3628 0.1372  4 O 2.83-3.07
K: 0.8534 0.8534 0.8534  6 O 2.85-3.00
K: 0.6466 0.6466 0.6466  6 O 2.85-3.00
K: 0.1466 0.1466 0.1466  6 O 2.85-3.00
K: 0.1372 0.7500 0.3628  4 O 2.83-3.07
K: 0.8628 0.2500 0.6372  4 O 2.83-3.07
K: 0.2500 0.6372 0.8628  4 O 2.83-3.07
K: 0.6372 0.8628 0.2500  4 O 2.83-3.07
K: 0.3628 0.1372 0.7500  4 O 2.83-3.07
Lu: 0.7500 0.7500 0.7500  6 O 2.19
Lu: 0.2500 0.2500 0.2500  6 O 2.19
Mo: 0.7624 0.1203 0.5212  4 O 1.75-1.85
Mo: 0.6203 0.2624 0.0212  4 O 1.75-1.85
Mo: 0.7376 0.9788 0.3797  4 O 1.75-1.85
Mo: 0.5212 0.7624 0.1203  4 O 1.75-1.85
Mo: 0.8797 0.4788 0.2376  4 O 1.75-1.85
Mo: 0.4788 0.2376 0.8797  4 O 1.75-1.85
Mo: 0.9788 0.3797 0.7376  4 O 1.75-1.85
Mo: 0.2624 0.0212 0.6203  4 O 1.75-1.85
Mo: 0.0212 0.6203 0.2624  4 O 1.75-1.85
Mo: 0.1203 0.5212 0.7624  4 O 1.75-1.85
Mo: 0.2376 0.8797 0.4788  4 O 1.75-1.85
Mo: 0.3797 0.7376 0.9788  4 O 1.75-1.85
Hf: 0.0000 0.0000 0.0000  6 O 2.09
Hf: 0.5000 0.5000 0.5000  6 O 2.09

Properties
E_form = -2.4324 eV per atom
Energy with MP2020 corrections = -587.71 eV for the cell shown
Space-group type = R-3c
Crystal system = trigonal

=====

(3)
Here is a geometry-optimized VO structure from the Materials Project. Energies are from PBE+U.

Lattice parameters (Å, degrees): 3.1971 3.1970 5.1307 90.00 71.85 120.00
Closest atoms and distances in Å follow each position.
Atoms (fractional coordinates):
O: 0.5000 0.7500 0.7500  6 V 2.20
O: 0.5000 0.2500 0.2500  6 V 2.20
V: 0.0000 0.0000 0.0000  6 O 2.20
V: 0.0000 0.5000 0.5000  6 O 2.20

Properties
E_form = -2.0896 eV per atom
Energy with MP2020 corrections = -36.42 eV for the cell shown

=====

(4)
Here is a geometry-optimized Ba2MgNi2O6 structure from the Materials Project. Energies are from PBE+U.

Lattice parameters (Å, degrees): 6.2768 5.5051 5.4552 90.00 109.22 116.01
Closest atoms and distances in Å follow each position.
Atoms (fractional coordinates):
O: 0.0904 0.2790 0.7676  2 Ni 1.87-2.01, 1 Mg 2.03
O: 0.0904 0.8114 0.7676  2 Ni 1.87-2.01, 1 Mg 2.03
O: 0.9190 0.7176 0.2428  2 Ni 1.89-2.04, 1 Mg 2.10
O: 0.3397 0.1699 0.3263  1 Ni 1.97
O: 0.5146 0.7573 0.6771  1 Mg 2.05
O: 0.9190 0.2014 0.2428  2 Ni 1.89-2.04, 1 Mg 2.10
Ba: 0.6566 0.3283 0.7952  3 O 2.53-2.74
Ba: 0.4495 0.7248 0.1656  6 O 2.68-2.85
Ni: 0.0440 0.0220 0.5046  4 O 1.87-1.89
Ni: 0.0203 0.0101 0.0149  5 O 1.97-2.04
Mg: 0.1231 0.5616 0.5255  5 O 2.03-2.10

Properties
E_form = -1.9294 eV per atom
Energy with MP2020 corrections = -67.91 eV for the cell shown
Space-group type = Cm
Crystal system = monoclinic

=====

(5)
Here is a geometry-optimized Li4Fe3Co5O16 structure from the Materials Project. Energies are from PBE+U.

Lattice parameters (Å, degrees): 2.9311 5.1608 19.1830 86.02 90.00 90.00
Closest atoms and distances in Å follow each position.
Atoms (fractional coordinates):
Li: 0.0000 0.0000 0.5000  6 O 2.14-2.15
Li: 0.0000 0.5000 0.0000  6 O 2.15-2.18
Li: 0.0000 0.2498 0.7465  6 O 2.13-2.18
Li: 0.0000 0.7502 0.2535  6 O 2.13-2.18
O: 0.5000 0.7743 0.5587  3 Co 1.87-2.03
O: 0.0000 0.3541 0.5533  3 Co 1.91-2.00
O: 0.0000 0.6459 0.4467  3 Co 1.91-2.00
O: 0.5000 0.4761 0.6860  3 Co 1.87-2.02
O: 0.0000 0.8413 0.0584  3 Fe 1.99-2.05, 1 Li 2.15
O: 0.0000 0.6005 0.7984  2 Co 1.91, 1 Fe 2.06, 1 Li 2.13
O: 0.0000 0.1062 0.3080  3 Co 1.92-1.98
O: 0.5000 0.7207 0.9359  3 Fe 1.96-2.05, 2 Li 2.18
O: 0.0000 0.8938 0.6920  3 Co 1.92-1.98
O: 0.0000 0.1587 0.9416  3 Fe 1.99-2.05, 1 Li 2.15
O: 0.0000 0.3995 0.2016  2 Co 1.91, 1 Fe 2.06, 1 Li 2.13
O: 0.5000 0.0212 0.8054  1 Co 1.88, 2 Fe 2.04
O: 0.5000 0.5239 0.3140  3 Co 1.87-2.02
O: 0.5000 0.2793 0.0641  3 Fe 1.96-2.05, 2 Li 2.18
O: 0.5000 0.9788 0.1946  1 Co 1.88, 2 Fe 2.04
O: 0.5000 0.2257 0.4413  3 Co 1.87-2.03
Fe: 0.5000 0.0000 0.0000  6 O 1.96-1.99
Fe: 0.0000 0.1235 0.1287  6 O 2.04-2.06
Fe: 0.0000 0.8765 0.8713  6 O 2.04-2.06
Co: 0.0000 0.6254 0.6228  6 O 1.98-2.03
Co: 0.5000 0.2526 0.2543  6 O 1.87-1.92
Co: 0.5000 0.5000 0.5000  6 O 1.87-1.91
Co: 0.5000 0.7474 0.7457  6 O 1.87-1.92
Co: 0.0000 0.3746 0.3772  6 O 1.98-2.03

Properties
E_form = -1.5293 eV per atom
Energy with MP2020 corrections = -190.58 eV for the cell shown
Space-group type = P2/m
Crystal system = monoclinic